Record 1
# ZrFeSi2 PBE optimized geometry
# calculated formation energy	-0.669	eV/atom
# corrected total energy (MP2020 scheme)	-30.5	eV/f.u.
# V	14.36	A^3/atom
# theoretical density	5.88	Mg/m³
data_ZrFeSi2
_symmetry_space_group_name_H-M 'C m c e'
_symmetry_Int_Tables_number 64
_symmetry_space_group_name_Hall '-C 2ac 2'
_cell_length_a 5.135
_cell_length_b 18.869
_cell_length_c 14.227
_cell_angle_alpha 90.00
_cell_angle_beta 90.00
_cell_angle_gamma 90.00
loop_
_atom_site_label
_atom_site_type_symbol
_atom_site_fract_x
_atom_site_fract_y
_atom_site_fract_z
_atom_site_occupancy
Zr1 Zr 0.000 0.035 0.175 1
Zr2 Zr 0.000 0.124 0.918 1
Zr3 Zr 0.000 0.202 0.683 1
Fe1 Fe 0.000 0.040 0.623 1
Fe2 Fe 0.250 0.162 0.250 1
Fe3 Fe 0.250 0.250 0.000 1
Si1 Si 0.000 0.089 0.356 1
Si2 Si 0.000 0.140 0.507 1
Si3 Si 0.000 0.169 0.103 1
Si4 Si 0.000 0.235 0.357 1
Si5 Si 0.244 0.000 0.000 1
Si6 Si 0.250 0.083 0.750 1

---

Record 2
# SmFe12 PBE optimized geometry
# calculated formation energy	0.259	eV/atom
# V	13.55	A^3/atom
# theoretical density	7.74	Mg/m³
data_SmFe12
_symmetry_space_group_name_H-M 'I 4/m m m'
_symmetry_Int_Tables_number 139
_symmetry_space_group_name_Hall '-I 4 2'
_cell_length_a 9.008
_cell_length_b 9.008
_cell_length_c 4.341
_cell_angle_alpha 90.00
_cell_angle_beta 90.00
_cell_angle_gamma 90.00
loop_
_atom_site_label
_atom_site_type_symbol
_atom_site_fract_x
_atom_site_fract_y
_atom_site_fract_z
_atom_site_occupancy
Sm1 Sm 0.000 0.000 0.000 1
Fe1 Fe 0.000 0.239 0.500 1
Fe2 Fe 0.000 0.366 0.000 1
Fe3 Fe 0.225 0.225 0.000 1